No. 1
DFT (PBE with a Hubbard U) results for crystalline NiH7C3NO6 at its relaxed geometry.

Calculated values
- Energy relative to the elements: -100.71 kJ per mole of atoms
- Space-group type: C2, No. 5

abc: 7.3923 7.4712 8.0216
angles: 91.03 90.00 60.35
Last column: nearest neighbours and their distance in Å.
Sites, in units of the cell vectors:
Ni 0.6677 0.6662 0.2505  6 O 2.07-2.15
Ni 0.3339 0.3338 0.7495  6 O 2.07-2.15
H 0.5885 0.4103 0.4982  1 C 1.10
H 0.4101 0.0000 0.5000  1 C 1.10
H 0.9989 0.5897 0.5018  1 C 1.10
H 0.4090 0.5902 0.9993  1 C 1.10
H 0.5866 0.0000 0.0000  1 C 1.10
H 0.9992 0.4098 0.0007  1 C 1.10
H 0.9818 0.9127 0.3456  1 N 1.03
H 0.9344 0.1490 0.2876  1 N 1.04
H 0.8945 0.0873 0.6544  1 N 1.03
H 0.0834 0.8510 0.7124  1 N 1.04
H 0.8909 0.0207 0.8453  1 N 1.03
H 0.0850 0.0654 0.7879  1 N 1.04
H 0.9116 0.9793 0.1547  1 N 1.03
H 0.1503 0.9346 0.2121  1 N 1.04
C 0.4421 0.5594 0.5014  1 H 1.10
C 0.5596 0.0000 0.5000  1 H 1.10
C 0.0015 0.4406 0.4986  1 H 1.10
C 0.5572 0.4430 0.0000  1 H 1.10
C 0.4372 0.0000 0.0000  1 H 1.10
C 0.0002 0.5570 0.0000  1 H 1.10
N 0.9957 0.9952 0.2501  4 H 1.03-1.04
N 0.9910 0.0048 0.7499  4 H 1.03-1.04
O 0.4222 0.6950 0.3990  1 C 1.27
O 0.7010 0.8800 0.3981  1 C 1.27
O 0.8874 0.4164 0.3919  1 C 1.27
O 0.1172 0.3050 0.6010  1 C 1.27
O 0.5811 0.1200 0.6019  1 C 1.27
O 0.3038 0.5836 0.6081  1 C 1.27
O 0.5794 0.3016 0.8970  1 C 1.27
O 0.3020 0.1113 0.8939  1 C 1.27
O 0.1188 0.5768 0.8973  1 C 1.27
O 0.8810 0.6984 0.1030  1 C 1.27
O 0.4133 0.8887 0.1061  1 C 1.27
O 0.6956 0.4232 0.1027  1 C 1.27

***

No. 2
DFT (PBE with a Hubbard U) results for crystalline NiH3C5NO6 at its relaxed geometry.

Calculated values
- Energy relative to the elements: -48.36 kJ per mole of atoms
- Space-group type: Cc, No. 9

abc: 7.8355 7.8355 8.6129
angles: 63.01 63.01 60.01
Last column: nearest neighbours and their distance in Å.
Sites, in units of the cell vectors:
Ni 0.0007 0.5005 0.0000  6 O 2.03-2.04
Ni 0.5005 0.0007 0.5000  6 O 2.03-2.04
H 0.3506 0.2503 0.7500  1 C 1.10
H 0.7513 0.6527 0.7483  1 C 1.10
H 0.1500 0.8501 0.7516  1 C 1.10
H 0.2503 0.3506 0.2500  1 C 1.10
H 0.8501 0.1500 0.2516  1 C 1.10
H 0.6527 0.7513 0.2483  1 C 1.10
C 0.2100 0.2501 0.7501  1 H 1.10
C 0.7504 0.7934 0.7495  1 H 1.10
C 0.2908 0.7094 0.7502  1 H 1.10
C 0.2501 0.2100 0.2501  1 H 1.10
C 0.7094 0.2908 0.2502  1 H 1.10
C 0.7934 0.7504 0.2495  1 H 1.10
C 0.6959 0.2151 0.9197  1 N 1.24
C 0.2151 0.6959 0.4197  1 N 1.24
C 0.3322 0.8036 0.0804  1 N 1.25
C 0.8036 0.3322 0.5804  1 N 1.25
N 0.7499 0.2738 0.7502  2 C 1.24-1.25
N 0.2738 0.7499 0.2502  2 C 1.24-1.25
O 0.0352 0.3450 0.8456  1 C 1.27
O 0.8455 0.7771 0.8450  1 C 1.27
O 0.2759 0.5347 0.8451  1 C 1.27
O 0.3450 0.0352 0.3456  1 C 1.27
O 0.5347 0.2759 0.3451  1 C 1.27
O 0.7771 0.8455 0.3450  1 C 1.27
O 0.9678 0.6545 0.1552  1 C 1.27
O 0.1551 0.2244 0.1555  1 C 1.27
O 0.7254 0.4652 0.1535  1 C 1.27
O 0.6545 0.9678 0.6552  1 C 1.27
O 0.4652 0.7254 0.6535  1 C 1.27
O 0.2244 0.1551 0.6555  1 C 1.27

***

No. 3
DFT (PBE with a Hubbard U) results for crystalline NiH14C10N8O2 at its relaxed geometry.

Calculated values
- Energy relative to the elements: -13.39 kJ per mole of atoms
- Space-group type: C2/m, No. 12

abc: 7.6795 7.6795 8.2411
angles: 70.20 70.20 57.28
Last column: nearest neighbours and their distance in Å.
Sites, in units of the cell vectors:
Ni 0.0000 0.0000 0.5000  4 N 2.07, 2 O 2.11
H 0.2288 0.2288 0.2359  1 C 1.10
H 0.7712 0.7712 0.7641  1 C 1.10
H 0.0890 0.3307 0.7705  1 C 1.10
H 0.3307 0.0890 0.7705  1 C 1.10
H 0.9110 0.6693 0.2295  1 C 1.10
H 0.6693 0.9110 0.2295  1 C 1.10
H 0.0974 0.0974 0.9239  1 C 1.09
H 0.9026 0.9026 0.0761  1 C 1.09
H 0.2628 0.5048 0.8247  1 C 1.10
H 0.5048 0.2628 0.8247  1 C 1.10
H 0.7372 0.4952 0.1753  1 C 1.10
H 0.4952 0.7372 0.1753  1 C 1.10
H 0.3833 0.3833 0.0140  1 C 1.10
H 0.6167 0.6167 0.9860  1 C 1.10
C 0.1804 0.1804 0.1543  1 H 1.10
C 0.8196 0.8196 0.8457  1 H 1.10
C 0.1849 0.1849 0.8548  3 H 1.09-1.10
C 0.8151 0.8151 0.1452  3 H 1.09-1.10
C 0.3538 0.3538 0.9072  3 H 1.10
C 0.6462 0.6462 0.0928  3 H 1.10
C 0.7667 0.4593 0.5783  2 N 1.18-1.30
C 0.4593 0.7667 0.5783  2 N 1.18-1.30
C 0.2333 0.5407 0.4217  2 N 1.18-1.30
C 0.5407 0.2333 0.4217  2 N 1.18-1.30
N 0.8964 0.3011 0.5290  1 C 1.18
N 0.3011 0.8964 0.5290  1 C 1.18
N 0.1036 0.6989 0.4710  1 C 1.18
N 0.6989 0.1036 0.4710  1 C 1.18
N 0.6313 0.6313 0.6390  2 C 1.30
N 0.3687 0.3687 0.3610  2 C 1.30
N 0.2367 0.2367 0.9805  3 C 1.34-1.46
N 0.7633 0.7633 0.0195  3 C 1.34-1.46
O 0.0795 0.0795 0.2237  1 C 1.25
O 0.9205 0.9205 0.7763  1 C 1.25